# PBE with a Hubbard U Li4Mn2P3O12, optimized geometry
# VASP energy: -6.88 eV/atom
# size of the total moment: 9.0 μB per formula unit
# excess energy over the best structure of this formula in the dataset: 6.5 kJ/mol of formula units
data_Li4Mn2P3O12
_symmetry_space_group_name_H-M 'P 1'
_symmetry_Int_Tables_number 1
_cell_length_a 8.888
_cell_length_b 8.649
_cell_length_c 14.935
_cell_angle_alpha 56.53
_cell_angle_beta 90.00
_cell_angle_gamma 90.00
loop_
_symmetry_equiv_pos_as_xyz
'x,y,z'
loop_
_atom_site_label
_atom_site_fract_x
_atom_site_fract_y
_atom_site_fract_z
O1 0.672 0.445 0.603
Li1 0.974 0.721 0.848
Li2 0.912 0.618 0.306
Li3 0.526 0.721 0.348
O2 0.276 0.340 0.315
O3 0.449 0.142 0.571
P1 0.748 0.447 0.506
O4 0.143 0.395 0.558
O5 0.759 0.060 0.298
O6 0.009 0.595 0.699
Li4 0.226 0.977 0.821
O7 0.591 0.875 0.189
O8 0.949 0.858 0.929
O9 0.051 0.142 0.071
Mn1 0.956 0.862 0.396
Li5 0.274 0.977 0.321
O10 0.551 0.858 0.429
O11 0.259 0.940 0.202
P2 0.613 0.748 0.146
O12 0.476 0.121 0.250
O13 0.491 0.595 0.199
Li6 0.219 0.644 0.731
O14 0.643 0.605 0.942
O15 0.909 0.875 0.689
O16 0.828 0.445 0.103
Mn2 0.044 0.138 0.604
Li7 0.726 0.023 0.679
O17 0.179 0.744 0.442
P3 0.113 0.252 0.354
Li8 0.088 0.382 0.694
O18 0.888 0.858 0.523
O19 0.091 0.125 0.311
Mn3 0.548 0.658 0.595
P4 0.387 0.252 0.854
O20 0.612 0.858 0.023
O21 0.509 0.405 0.801
Li9 0.026 0.279 0.152
P5 0.248 0.553 0.994
Mn4 0.456 0.138 0.104
O22 0.241 0.940 0.702
O23 0.112 0.142 0.477
P6 0.401 0.943 0.661
O24 0.374 0.521 0.577
O25 0.991 0.405 0.301
O26 0.599 0.203 0.369
O27 0.857 0.605 0.442
O28 0.321 0.744 0.942
P7 0.752 0.447 0.006
Li10 0.774 0.023 0.179
O29 0.388 0.142 0.977
Li11 0.474 0.279 0.652
O30 0.024 0.121 0.750
O31 0.099 0.797 0.131
O32 0.172 0.555 0.897
O33 0.901 0.203 0.869
O34 0.626 0.479 0.423
O35 0.976 0.879 0.250
P8 0.099 0.943 0.161
Mn5 0.544 0.862 0.896
O36 0.224 0.340 0.815
O37 0.821 0.256 0.558
O38 0.741 0.060 0.798
O39 0.126 0.521 0.077
P9 0.252 0.553 0.494
P10 0.887 0.748 0.646
Mn6 0.952 0.658 0.095
O40 0.776 0.660 0.185
O41 0.679 0.256 0.058
O42 0.409 0.125 0.811
Mn7 0.452 0.342 0.405
P11 0.901 0.057 0.839
Li12 0.781 0.356 0.269
Li13 0.719 0.356 0.769
O43 0.524 0.879 0.750
Li14 0.281 0.644 0.231
P12 0.599 0.057 0.339
O44 0.724 0.660 0.685
Mn8 0.048 0.342 0.905
O45 0.401 0.797 0.631
Li15 0.588 0.618 0.806
O46 0.328 0.555 0.397
O47 0.357 0.395 0.058
Li16 0.412 0.382 0.194
O48 0.874 0.479 0.923

***

# PBE with a Hubbard U CaMn3P3O13, optimized geometry
# VASP energy: -7.41 eV/atom
# size of the total moment: 12.0 μB per formula unit
data_CaMn3P3O13
_symmetry_space_group_name_H-M 'P 1'
_symmetry_Int_Tables_number 1
_cell_length_a 6.265
_cell_length_b 7.779
_cell_length_c 10.376
_cell_angle_alpha 80.55
_cell_angle_beta 90.00
_cell_angle_gamma 90.00
loop_
_symmetry_equiv_pos_as_xyz
'x,y,z'
loop_
_atom_site_label
_atom_site_fract_x
_atom_site_fract_y
_atom_site_fract_z
O1 0.250 0.360 0.257
O2 0.545 0.788 0.903
O3 0.750 0.349 0.606
O4 0.941 0.250 0.416
P1 0.250 0.790 0.485
O5 0.250 0.502 0.034
O6 0.059 0.750 0.584
O7 0.250 0.882 0.086
O8 0.455 0.212 0.097
O9 0.250 0.974 0.410
Mn1 0.500 0.000 0.000
O10 0.750 0.911 0.138
O11 0.059 0.376 0.787
Mn2 0.000 0.000 0.000
Mn3 0.250 0.651 0.206
P2 0.750 0.684 0.886
Ca1 0.750 0.345 0.193
O12 0.750 0.640 0.743
O13 0.955 0.788 0.903
P3 0.250 0.316 0.114
Mn4 0.750 0.771 0.565
O14 0.250 0.212 0.624
O15 0.559 0.624 0.213
O16 0.750 0.118 0.914
O17 0.750 0.026 0.590
O18 0.441 0.376 0.787
O19 0.250 0.089 0.862
O20 0.750 0.788 0.376
Mn5 0.750 0.349 0.794
P4 0.250 0.258 0.760
Mn6 0.250 0.229 0.435
P5 0.750 0.742 0.240
O21 0.941 0.624 0.213
P6 0.750 0.210 0.515
O22 0.559 0.250 0.416
O23 0.250 0.651 0.394
Ca2 0.250 0.655 0.807
O24 0.750 0.498 0.966
O25 0.045 0.212 0.097
O26 0.441 0.750 0.584

***

# PBE with a Hubbard U NaFe2Si6O15, optimized geometry
# VASP energy: -7.29 eV/atom
# size of the total moment: 0.5 μB per formula unit
data_NaFe2Si6O15
_symmetry_space_group_name_H-M 'P 1'
_symmetry_Int_Tables_number 1
_cell_length_a 11.364
_cell_length_b 11.364
_cell_length_c 10.207
_cell_angle_alpha 90.00
_cell_angle_beta 90.00
_cell_angle_gamma 100.28
loop_
_symmetry_equiv_pos_as_xyz
'x,y,z'
loop_
_atom_site_label
_atom_site_fract_x
_atom_site_fract_y
_atom_site_fract_z
Si1 0.976 0.241 0.511
O1 0.999 0.273 0.913
O2 0.052 0.948 0.192
O3 0.344 0.001 0.833
O4 0.407 0.853 0.008
O5 0.273 0.999 0.087
Fe1 0.656 0.844 0.250
O6 0.179 0.821 0.925
Na1 0.530 0.970 0.750
Fe2 0.251 0.251 0.500
Si2 0.702 0.080 0.042
Fe3 0.344 0.156 0.750
O7 0.752 0.973 0.664
Si3 0.024 0.759 0.489
O8 0.227 0.501 0.587
Fe4 0.156 0.344 0.250
O9 0.386 0.614 0.010
Si4 0.920 0.298 0.042
O10 0.499 0.773 0.587
Si5 0.180 0.039 0.196
O11 0.614 0.386 0.990
Fe5 0.751 0.751 0.000
O12 0.091 0.251 0.415
Si6 0.080 0.702 0.958
O13 0.749 0.909 0.415
O14 0.667 0.675 0.336
Fe6 0.844 0.656 0.750
Si7 0.476 0.741 0.989
O15 0.593 0.147 0.992
O16 0.093 0.647 0.508
Si8 0.420 0.798 0.458
O17 0.656 0.999 0.167
O18 0.999 0.656 0.833
O19 0.527 0.748 0.836
O20 0.325 0.333 0.336
Si9 0.741 0.476 0.011
O21 0.501 0.844 0.333
O22 0.333 0.325 0.664
Si10 0.241 0.976 0.489
O23 0.001 0.727 0.087
O24 0.647 0.093 0.492
O25 0.675 0.667 0.664
Fe7 0.249 0.249 0.000
Si11 0.961 0.820 0.196
O26 0.552 0.448 0.308
O27 0.251 0.091 0.585
Si12 0.759 0.024 0.511
Si13 0.461 0.320 0.304
O28 0.114 0.886 0.510
O29 0.948 0.052 0.808
O30 0.252 0.473 0.836
O31 0.679 0.321 0.575
O32 0.156 0.499 0.333
O33 0.501 0.227 0.413
Si14 0.820 0.961 0.804
O34 0.886 0.114 0.490
O35 0.448 0.552 0.692
Si15 0.202 0.580 0.458
O36 0.973 0.752 0.336
O37 0.821 0.179 0.075
Na2 0.030 0.470 0.750
O38 0.248 0.027 0.336
Si16 0.798 0.420 0.542
O39 0.844 0.501 0.667
O40 0.751 0.591 0.915
O41 0.167 0.175 0.164
Si17 0.580 0.202 0.542
O42 0.773 0.499 0.413
Na3 0.970 0.530 0.250
O43 0.748 0.527 0.164
O44 0.727 0.001 0.913
O45 0.907 0.353 0.492
O46 0.175 0.167 0.836
O47 0.001 0.344 0.167
Si18 0.259 0.524 0.989
O48 0.833 0.825 0.836
O49 0.825 0.833 0.164
O50 0.473 0.252 0.164
O51 0.353 0.907 0.508
O52 0.909 0.749 0.585
O53 0.321 0.679 0.425
O54 0.591 0.751 0.085
Si19 0.298 0.920 0.958
Si20 0.680 0.539 0.304
Si21 0.524 0.259 0.011
O55 0.409 0.249 0.915
O56 0.853 0.407 0.992
O57 0.499 0.156 0.667
O58 0.249 0.409 0.085
Fe8 0.749 0.749 0.500
O59 0.027 0.248 0.664
Si22 0.539 0.680 0.696
Si23 0.039 0.180 0.804
Na4 0.470 0.030 0.250
Si24 0.320 0.461 0.696
O60 0.147 0.593 0.008

***

# PBE with a Hubbard U TmFeO3, optimized geometry
# VASP energy: -7.58 eV/atom
data_TmFeO3
_symmetry_space_group_name_H-M 'P 1'
_symmetry_Int_Tables_number 1
_cell_length_a 6.073
_cell_length_b 6.073
_cell_length_c 11.751
_cell_angle_alpha 90.00
_cell_angle_beta 90.00
_cell_angle_gamma 120.00
loop_
_symmetry_equiv_pos_as_xyz
'x,y,z'
loop_
_atom_site_label
_atom_site_fract_x
_atom_site_fract_y
_atom_site_fract_z
Tm1 0.667 0.333 0.732
O1 0.305 0.000 0.167
O2 0.000 0.695 0.667
O3 0.667 0.333 0.523
Fe1 0.334 0.334 0.501
O4 0.361 0.000 0.836
O5 0.000 0.000 0.475
O6 0.695 0.695 0.167
Fe2 0.666 0.666 0.001
O7 0.305 0.305 0.667
Tm2 0.333 0.667 0.232
Fe3 0.000 0.334 0.001
O8 0.361 0.361 0.336
O9 0.000 0.000 0.975
Fe4 0.334 0.000 0.001
Tm3 0.000 0.000 0.776
Tm4 0.333 0.667 0.732
O10 0.333 0.667 0.023
O11 0.000 0.305 0.167
O12 0.000 0.361 0.836
Fe5 0.000 0.666 0.501
O13 0.695 0.000 0.667
Tm5 0.667 0.333 0.232
O14 0.333 0.667 0.523
O15 0.639 0.639 0.836
Fe6 0.666 0.000 0.501
O16 0.639 0.000 0.336
O17 0.000 0.639 0.336
O18 0.667 0.333 0.023
Tm6 0.000 0.000 0.276

***

# PBE with a Hubbard U LiTiV2O6, optimized geometry
# VASP energy: -7.75 eV/atom
# size of the total moment: 0.0 μB per formula unit
# excess energy over the best structure of this formula in the dataset: 0.0 kJ/mol of formula units
# maximum piezoelectric response: 0.79 C/m2
data_LiTiV2O6
_symmetry_space_group_name_H-M 'P 1'
_symmetry_Int_Tables_number 1
_cell_length_a 3.025
_cell_length_b 12.547
_cell_length_c 6.025
_cell_angle_alpha 102.82
_cell_angle_beta 89.97
_cell_angle_gamma 90.02
loop_
_symmetry_equiv_pos_as_xyz
'x,y,z'
loop_
_atom_site_label
_atom_site_fract_x
_atom_site_fract_y
_atom_site_fract_z
V1 0.001 0.987 0.026
O1 0.500 0.647 0.097
O2 0.501 0.997 0.796
O3 0.000 0.185 0.574
O4 0.500 0.998 0.234
Ti1 0.500 0.850 0.631
Ti2 0.000 0.349 0.631
Li1 0.498 0.167 0.834
V2 0.500 0.162 0.338
O5 0.500 0.341 0.874
O6 0.000 0.834 0.434
O7 0.000 0.841 0.874
O8 0.500 0.685 0.573
O9 0.001 0.497 0.796
Li2 0.998 0.667 0.834
O10 0.000 0.498 0.234
V3 0.501 0.487 0.026
O11 0.000 0.147 0.097
V4 0.000 0.663 0.338
O12 0.500 0.334 0.434

***

# PBE with a Hubbard U Li2V3SnO8, optimized geometry
# VASP energy: -6.98 eV/atom
# size of the total moment: 5.0 μB per formula unit
# excess energy over the best structure of this formula in the dataset: 29.8 kJ/mol of formula units
data_Li2V3SnO8
_symmetry_space_group_name_H-M 'P 1'
_symmetry_Int_Tables_number 1
_cell_length_a 6.036
_cell_length_b 6.181
_cell_length_c 8.628
_cell_angle_alpha 87.66
_cell_angle_beta 89.63
_cell_angle_gamma 89.96
loop_
_symmetry_equiv_pos_as_xyz
'x,y,z'
loop_
_atom_site_label
_atom_site_fract_x
_atom_site_fract_y
_atom_site_fract_z
V1 0.502 0.997 0.004
V2 0.756 0.252 0.750
V3 0.250 0.247 0.750
O1 0.725 0.760 0.007
V4 0.247 0.749 0.248
O2 0.277 0.762 0.003
O3 0.002 0.977 0.258
Sn1 0.501 0.501 0.999
O4 0.499 0.979 0.222
V5 0.754 0.751 0.249
O5 0.988 0.024 0.744
O6 0.228 0.743 0.491
Li1 0.002 0.246 0.125
Li2 0.502 0.741 0.620
O7 0.768 0.749 0.488
O8 0.766 0.252 0.520
O9 0.276 0.242 0.987
O10 0.510 0.471 0.758
O11 0.000 0.530 0.264
O12 0.499 0.528 0.239
O13 0.986 0.460 0.742
O14 0.729 0.241 0.986
Li3 0.498 0.260 0.379
V6 0.998 0.501 0.497
Li4 0.998 0.757 0.877
O15 0.230 0.249 0.517
Sn2 0.000 0.997 0.501
O16 0.511 0.035 0.774